Record 1
Density functional theory data (PBE) for crystalline LiCeHg2 at its relaxed geometry.

Unit cell a=5.148 b=5.148 c=5.148 alpha=60.00 beta=60.00 gamma=60.00
Positions (direct):
Hg 0.750 0.750 0.750
Hg 0.250 0.250 0.250
Li 0.000 0.000 0.000
Ce 0.500 0.500 0.500

crystal system	cubic
DFT formation energy	-0.357	eV/atom



Record 2
Density functional theory data (PBE) for crystalline NaCeHg2 at its relaxed geometry.

Unit cell a=5.351 b=5.351 c=5.351 alpha=60.00 beta=60.00 gamma=60.00
Positions (direct):
Ce 0.500 0.500 0.500
Hg 0.750 0.750 0.750
Hg 0.250 0.250 0.250
Na 0.000 0.000 0.000

crystal system	cubic
DFT formation energy	-0.279	eV/atom



Record 3
Density functional theory data (PBE) for crystalline CePrHg2 at its relaxed geometry.

Unit cell a=5.436 b=5.436 c=5.436 alpha=60.00 beta=60.00 gamma=60.00
Positions (direct):
Ce 0.500 0.500 0.500
Pr 0.000 0.000 0.000
Hg 0.750 0.750 0.750
Hg 0.250 0.250 0.250

crystal system	cubic
DFT formation energy	-0.375	eV/atom



Record 4
Density functional theory data (PBE) for crystalline SrCeHg2 at its relaxed geometry.

Unit cell a=5.488 b=5.488 c=5.488 alpha=60.00 beta=60.00 gamma=60.00
Positions (direct):
Hg 0.750 0.750 0.750
Hg 0.250 0.250 0.250
Sr 0.000 0.000 0.000
Ce 0.500 0.500 0.500

crystal system	cubic
DFT formation energy	-0.388	eV/atom



Record 5
Density functional theory data (PBE) for crystalline Ce2ZnHg at its relaxed geometry.

Unit cell a=5.315 b=5.315 c=5.315 alpha=60.00 beta=60.00 gamma=60.00
Positions (direct):
Zn 0.000 0.000 0.000
Hg 0.500 0.500 0.500
Ce 0.250 0.250 0.250
Ce 0.750 0.750 0.750

crystal system	cubic
DFT formation energy	-0.207	eV/atom



Record 6
Density functional theory data (PBE) for crystalline CeHoIn2 at its relaxed geometry.

Unit cell a=5.369 b=5.369 c=5.369 alpha=60.00 beta=60.00 gamma=60.00
Positions (direct):
In 0.250 0.250 0.250
In 0.750 0.750 0.750
Ho 0.000 0.000 0.000
Ce 0.500 0.500 0.500

crystal system	cubic
DFT formation energy	-0.400	eV/atom



Record 7
Density functional theory data (PBE) for crystalline CeHoMg2 at its relaxed geometry.

Unit cell a=5.398 b=5.398 c=5.398 alpha=60.00 beta=60.00 gamma=60.00
Positions (direct):
Mg 0.250 0.250 0.250
Mg 0.750 0.750 0.750
Ho 0.000 0.000 0.000
Ce 0.500 0.500 0.500

crystal system	cubic
DFT formation energy	-0.010	eV/atom



Record 8
Density functional theory data (PBE) for crystalline Ce4Ho11S22 at its relaxed geometry.

Unit cell a=19.745 b=19.745 c=11.372 alpha=88.26 beta=88.26 gamma=11.49
Positions (direct):
S 0.255 0.255 0.881
S 0.865 0.865 0.452
S 0.813 0.813 0.691
S 0.407 0.407 0.211
S 0.187 0.187 0.309
S 0.279 0.279 0.408
S 0.008 0.008 0.760
S 0.135 0.135 0.548
S 0.547 0.547 0.030
S 0.453 0.453 0.970
S 0.169 0.169 0.849
S 0.913 0.913 0.753
S 0.087 0.087 0.247
S 0.721 0.721 0.592
S 0.649 0.649 0.090
S 0.555 0.555 0.494
S 0.992 0.992 0.240
S 0.445 0.445 0.506
S 0.831 0.831 0.151
S 0.593 0.593 0.789
S 0.745 0.745 0.119
S 0.351 0.351 0.910
Ho 0.538 0.538 0.270
Ho 0.930 0.930 0.360
Ho 0.658 0.658 0.699
Ho 0.202 0.202 0.059
Ho 0.342 0.342 0.301
Ho 0.265 0.265 0.648
Ho 0.070 0.070 0.640
Ho 0.798 0.798 0.941
Ho 0.000 0.000 0.000
Ho 0.735 0.735 0.352
Ho 0.462 0.462 0.730
Ce 0.104 0.104 0.988
Ce 0.369 0.369 0.651
Ce 0.896 0.896 0.012
Ce 0.631 0.631 0.349

crystal system	monoclinic
DFT formation energy	-2.341	eV/atom